(1)
## BaTa4O14 (PBE)

Data for a relaxed BaTa4O14 crystal.

Unit cell a=7.5294 b=7.5294 c=7.5294 alpha=60.43 beta=60.43 gamma=60.43
Last column: nearest neighbours and their distance in Å.
Element x y z (fractional)
Ba: 0.5000 0.5000 0.5000  8 O 2.75-3.02
Ta: 0.0000 0.0000 0.0000  6 O 1.99
Ta: 0.5000 0.0000 0.0000  6 O 1.99-2.00
Ta: 0.0000 0.0000 0.5000  6 O 1.99-2.00
Ta: 0.0000 0.5000 0.0000  6 O 1.99-2.00
O: 0.9332 0.3090 0.3090  2 Ta 2.00
O: 0.3102 0.9393 0.9393  2 Ta 1.99
O: 0.3090 0.3090 0.9332  2 Ta 2.00
O: 0.9393 0.9393 0.3102  2 Ta 1.99
O: 0.9393 0.3102 0.9393  2 Ta 1.99
O: 0.3090 0.9332 0.3090  2 Ta 2.00
O: 0.0668 0.6910 0.6910  2 Ta 2.00
O: 0.6898 0.0607 0.0607  2 Ta 1.99
O: 0.6910 0.6910 0.0668  2 Ta 2.00
O: 0.0607 0.0607 0.6898  2 Ta 1.99
O: 0.0607 0.6898 0.0607  2 Ta 1.99
O: 0.6910 0.0668 0.6910  2 Ta 2.00
O: 0.3357 0.3357 0.3357  6 O 3.00-3.24, 1 Ba 3.02
O: 0.6643 0.6643 0.6643  6 O 3.00-3.24, 1 Ba 3.02

Calculated values
- E_form: -2.5683 eV per atom
- MP2020-corrected energy: -167.4 eV/f.u.
- Total moment: 0.3154 μB per atom

(2)
## BaTa4O11 (PBE)

Data for a relaxed BaTa4O11 crystal.

Unit cell a=6.3696 b=6.3696 c=12.5917 alpha=90.00 beta=90.00 gamma=120.00
Last column: nearest neighbours and their distance in Å.
Element x y z (fractional)
Ba: 0.3333 0.6667 0.7500  8 O 2.64-2.73
Ba: 0.6667 0.3333 0.2500  8 O 2.64-2.73
Ta: 0.0000 0.6460 0.5000  6 O 1.98-2.10
Ta: 0.0000 0.3540 0.0000  6 O 1.98-2.10
Ta: 0.3333 0.6667 0.2500  6 O 2.00
Ta: 0.3540 0.3540 0.5000  6 O 1.98-2.10
Ta: 0.6460 0.6460 0.0000  6 O 1.98-2.10
Ta: 0.3540 0.0000 0.0000  6 O 1.98-2.10
Ta: 0.6667 0.3333 0.7500  6 O 2.00
Ta: 0.6460 0.0000 0.5000  6 O 1.98-2.10
O: 0.0000 0.7583 0.0000  2 Ta 2.00
O: 0.0728 0.6386 0.3480  2 Ta 1.98-2.00
O: 0.0728 0.4342 0.1520  2 Ta 1.98-2.00
O: 0.0000 0.2417 0.5000  2 Ta 2.00
O: 0.3614 0.9272 0.1520  2 Ta 1.98-2.00
O: 0.3333 0.6667 0.5331  3 Ta 2.10
O: 0.3333 0.6667 0.9669  3 Ta 2.10
O: 0.5658 0.9272 0.3480  2 Ta 1.98-2.00
O: 0.2417 0.2417 0.0000  2 Ta 2.00
O: 0.3614 0.4342 0.3480  2 Ta 1.98-2.00
O: 0.4342 0.3614 0.6520  2 Ta 1.98-2.00
O: 0.2417 0.0000 0.5000  2 Ta 2.00
O: 0.5658 0.6386 0.1520  2 Ta 1.98-2.00
O: 0.6386 0.5658 0.8480  2 Ta 1.98-2.00
O: 0.7583 0.7583 0.5000  2 Ta 2.00
O: 0.4342 0.0728 0.8480  2 Ta 1.98-2.00
O: 0.6667 0.3333 0.0331  3 Ta 2.10
O: 0.6667 0.3333 0.4669  3 Ta 2.10
O: 0.6386 0.0728 0.6520  2 Ta 1.98-2.00
O: 0.9272 0.5658 0.6520  2 Ta 1.98-2.00
O: 0.7583 0.0000 0.0000  2 Ta 2.00
O: 0.9272 0.3614 0.8480  2 Ta 1.98-2.00

Calculated values
- E_form: -3.3948 eV per atom
- MP2020-corrected energy: -158.1 eV/f.u.

(3)
## BaTa2O6 (PBE)

Data for a relaxed BaTa2O6 crystal.

Unit cell a=21.4381 b=21.4381 c=3.9795 alpha=90.00 beta=90.00 gamma=120.00
Last column: nearest neighbours and their distance in Å.
Element x y z (fractional)
Ba: 0.8178 0.6356 0.0000  7 O 2.84-2.86
Ba: 0.3333 0.6667 0.0000  6 O 2.73
Ba: 0.5000 0.5000 0.0000  4 O 2.66
Ba: 0.6667 0.3333 0.0000  6 O 2.73
Ba: 0.8178 0.1822 0.0000  7 O 2.84-2.86
Ba: 0.1822 0.3644 0.0000  7 O 2.84-2.86
Ba: 0.5000 0.0000 0.0000  4 O 2.66
Ba: 0.6356 0.8178 0.0000  7 O 2.84-2.86
Ba: 0.0000 0.0000 0.5000  6 O 2.71
Ba: 0.1822 0.8178 0.0000  7 O 2.84-2.86
Ba: 0.0000 0.5000 0.0000  4 O 2.66
Ba: 0.3644 0.1822 0.0000  7 O 2.84-2.86
Ta: 0.1638 0.5073 0.5000  6 O 1.93-2.05
Ta: 0.3082 0.0000 0.5000  6 O 1.99-2.02
Ta: 0.0000 0.3082 0.5000  6 O 1.99-2.02
Ta: 0.6918 0.6918 0.5000  6 O 1.99-2.02
Ta: 0.2035 0.1017 0.5000  6 O 1.97-2.03
Ta: 0.8362 0.4927 0.5000  6 O 1.93-2.05
Ta: 0.6918 0.0000 0.5000  6 O 1.99-2.02
Ta: 0.1638 0.6565 0.5000  6 O 1.93-2.05
Ta: 0.7965 0.8983 0.5000  6 O 1.97-2.03
Ta: 0.8983 0.1017 0.5000  6 O 1.97-2.03
Ta: 0.0000 0.6918 0.5000  6 O 1.99-2.02
Ta: 0.5073 0.3435 0.5000  6 O 1.93-2.05
Ta: 0.6565 0.4927 0.5000  6 O 1.93-2.05
Ta: 0.6565 0.1638 0.5000  6 O 1.93-2.05
Ta: 0.3435 0.8362 0.5000  6 O 1.93-2.05
Ta: 0.3435 0.5073 0.5000  6 O 1.93-2.05
Ta: 0.4927 0.6565 0.5000  6 O 1.93-2.05
Ta: 0.4927 0.8362 0.5000  6 O 1.93-2.05
Ta: 0.1017 0.2035 0.5000  6 O 1.97-2.03
Ta: 0.8362 0.3435 0.5000  6 O 1.93-2.05
Ta: 0.8983 0.7965 0.5000  6 O 1.97-2.03
Ta: 0.3082 0.3082 0.5000  6 O 1.99-2.02
Ta: 0.1017 0.8983 0.5000  6 O 1.97-2.03
Ta: 0.5073 0.1638 0.5000  6 O 1.93-2.05
O: 0.4932 0.6618 0.0000  2 Ta 1.99
O: 0.8314 0.4932 0.0000  2 Ta 1.99
O: 0.1052 0.8948 0.0000  2 Ta 1.99
O: 0.2058 0.2839 0.5000  2 Ta 1.99-2.03
O: 0.8948 0.7896 0.0000  2 Ta 1.99
O: 0.0781 0.7942 0.5000  2 Ta 1.99-2.03
O: 0.2375 0.7625 0.5000  2 Ta 2.02
O: 0.9208 0.5873 0.5000  2 Ta 1.93-2.02
O: 0.0000 0.8737 0.5000  2 Ta 1.97
O: 0.1052 0.2104 0.0000  2 Ta 1.99
O: 0.0000 0.3109 0.0000  2 Ta 1.99
O: 0.2375 0.4750 0.5000  2 Ta 2.02
O: 0.3837 0.6163 0.5000  2 Ta 2.05
O: 0.0781 0.2839 0.5000  2 Ta 1.99-2.03
O: 0.4127 0.0792 0.5000  2 Ta 1.93-2.02
O: 0.3336 0.4127 0.5000  2 Ta 1.93-2.02
O: 0.6664 0.5873 0.5000  2 Ta 1.93-2.02
O: 0.8314 0.3382 0.0000  2 Ta 1.99
O: 0.5873 0.6664 0.5000  2 Ta 1.93-2.02
O: 0.7625 0.2375 0.5000  2 Ta 2.02
O: 0.7942 0.7161 0.5000  2 Ta 1.99-2.03
O: 0.0951 0.5475 0.5000  2 Ta 2.05
O: 0.7161 0.7942 0.5000  2 Ta 1.99-2.03
O: 0.3336 0.9208 0.5000  2 Ta 1.93-2.02
O: 0.3109 0.3109 0.0000  2 Ta 1.99
O: 0.4932 0.8314 0.0000  2 Ta 1.99
O: 0.4525 0.5475 0.5000  2 Ta 2.05
O: 0.8948 0.1052 0.0000  2 Ta 1.99
O: 0.9208 0.3336 0.5000  2 Ta 1.93-2.02
O: 0.7942 0.0781 0.5000  2 Ta 1.99-2.03
O: 0.7161 0.9219 0.5000  2 Ta 1.99-2.03
O: 0.0792 0.4127 0.5000  2 Ta 1.93-2.02
O: 0.3382 0.5068 0.0000  2 Ta 1.99
O: 0.4127 0.3336 0.5000  2 Ta 1.93-2.02
O: 0.0000 0.1263 0.5000  2 Ta 1.97
O: 0.1686 0.6618 0.0000  2 Ta 1.99
O: 0.5475 0.4525 0.5000  2 Ta 2.05
O: 0.3837 0.7674 0.5000  2 Ta 2.05
O: 0.8737 0.0000 0.5000  2 Ta 1.97
O: 0.1686 0.5068 0.0000  2 Ta 1.99
O: 0.6891 0.6891 0.0000  2 Ta 1.99
O: 0.2839 0.2058 0.5000  2 Ta 1.99-2.03
O: 0.2326 0.6163 0.5000  2 Ta 2.05
O: 0.2839 0.0781 0.5000  2 Ta 1.99-2.03
O: 0.6891 0.0000 0.0000  2 Ta 1.99
O: 0.7674 0.3837 0.5000  2 Ta 2.05
O: 0.4750 0.2375 0.5000  2 Ta 2.02
O: 0.4525 0.9049 0.5000  2 Ta 2.05
O: 0.6664 0.0792 0.5000  2 Ta 1.93-2.02
O: 0.5873 0.9208 0.5000  2 Ta 1.93-2.02
O: 0.9049 0.4525 0.5000  2 Ta 2.05
O: 0.8737 0.8737 0.5000  2 Ta 1.97
O: 0.5068 0.3382 0.0000  2 Ta 1.99
O: 0.7625 0.5250 0.5000  2 Ta 2.02
O: 0.6618 0.1686 0.0000  2 Ta 1.99
O: 0.1263 0.1263 0.5000  2 Ta 1.97
O: 0.9219 0.7161 0.5000  2 Ta 1.99-2.03
O: 0.6163 0.3837 0.5000  2 Ta 2.05
O: 0.9219 0.2058 0.5000  2 Ta 1.99-2.03
O: 0.0000 0.6891 0.0000  2 Ta 1.99
O: 0.6163 0.2326 0.5000  2 Ta 2.05
O: 0.7896 0.8948 0.0000  2 Ta 1.99
O: 0.3109 0.0000 0.0000  2 Ta 1.99
O: 0.5250 0.7625 0.5000  2 Ta 2.02
O: 0.5475 0.0951 0.5000  2 Ta 2.05
O: 0.2058 0.9219 0.5000  2 Ta 1.99-2.03
O: 0.1263 0.0000 0.5000  2 Ta 1.97
O: 0.6618 0.4932 0.0000  2 Ta 1.99
O: 0.0792 0.6664 0.5000  2 Ta 1.93-2.02
O: 0.2104 0.1052 0.0000  2 Ta 1.99
O: 0.5068 0.1686 0.0000  2 Ta 1.99
O: 0.3382 0.8314 0.0000  2 Ta 1.99

Calculated values
- E_form: -3.4415 eV per atom
- MP2020-corrected energy: -86.3 eV/f.u.
- Total moment: 0.0001 μB per atom

| no. | volume (Å³/atom) | E_tot (eV/cell) |
| --- | --- | --- |
| 1 | 16.0 | -157.80 |
| 2 | 13.8 | -301.08 |
| 3 | 14.7 | -986.09 |